Record 1
First-principles (PBE) data for PrTaO4 after structural relaxation, as listed in Materials Project.

Summary:
ρ in g cm⁻³: 7.768
E_tot in eV per formula unit: -55.6
Formation enthalpy at 0 K in kJ per mole of atoms: -352.1
SG: P2_1/c, No. 14

a = 7.7298 Å, b = 5.5566 Å, c = 7.8086 Å
α = 90.00°, β = 100.36°, γ = 90.00°
Closest atoms and distances in Å follow each position.
Fractional coordinates of all 24 atoms:
Pr (0.1523, 0.2213, 0.3987)  6 O 2.35-2.56
Pr (0.1523, 0.2787, 0.8987)  6 O 2.35-2.56
Pr (0.8477, 0.7213, 0.1013)  6 O 2.35-2.56
Pr (0.8477, 0.7787, 0.6013)  6 O 2.35-2.56
Ta (0.3347, 0.7330, 0.1941)  6 O 1.93-2.07
Ta (0.3347, 0.7670, 0.6941)  6 O 1.93-2.07
Ta (0.6653, 0.2330, 0.3059)  6 O 1.93-2.07
Ta (0.6653, 0.2670, 0.8059)  6 O 1.93-2.07
O (0.1172, 0.5164, 0.1708)  1 Ta 2.05
O (0.1172, 0.9836, 0.6708)  1 Ta 2.05
O (0.1705, 0.5072, 0.6304)  1 Ta 1.93
O (0.1705, 0.9928, 0.1304)  1 Ta 1.93
O (0.3321, 0.6534, 0.9449)  2 Ta 1.99-2.06
O (0.3321, 0.8466, 0.4449)  2 Ta 1.99-2.06
O (0.4434, 0.0889, 0.7952)  2 Ta 1.97-2.07
O (0.4434, 0.4111, 0.2952)  2 Ta 1.97-2.07
O (0.5566, 0.5889, 0.7048)  2 Ta 1.97-2.07
O (0.5566, 0.9111, 0.2048)  2 Ta 1.97-2.07
O (0.6679, 0.1534, 0.5551)  2 Ta 1.99-2.06
O (0.6679, 0.3466, 0.0551)  2 Ta 1.99-2.06
O (0.8295, 0.0072, 0.8696)  1 Ta 1.93
O (0.8295, 0.4928, 0.3696)  1 Ta 1.93
O (0.8828, 0.0164, 0.3292)  1 Ta 2.05
O (0.8828, 0.4836, 0.8292)  1 Ta 2.05

Record 2
First-principles (PBE) data for PrTaTiO6 after structural relaxation, as listed in Materials Project.

Summary:
ρ in g cm⁻³: 6.778
E_tot in eV per formula unit: -82.7
Formation enthalpy at 0 K in kJ per mole of atoms: -349.2
SG: Pna2_1, No. 33

a = 11.0969 Å, b = 5.4271 Å, c = 7.5779 Å
α = 90.00°, β = 90.00°, γ = 90.00°
Closest atoms and distances in Å follow each position.
Fractional coordinates of all 36 atoms:
Pr (0.0433, 0.0442, 0.0000)  8 O 2.45-2.55
Pr (0.4567, 0.5442, 0.5000)  8 O 2.45-2.55
Pr (0.5433, 0.4558, 0.0000)  8 O 2.45-2.55
Pr (0.9567, 0.9558, 0.5000)  8 O 2.45-2.55
Ta (0.1437, 0.5380, 0.2567)  5 O 1.91-2.03
Ta (0.3563, 0.0380, 0.7567)  5 O 1.91-2.03
Ta (0.6437, 0.9620, 0.2567)  5 O 1.91-2.03
Ta (0.8563, 0.4620, 0.7567)  5 O 1.91-2.03
Ti (0.1432, 0.5350, 0.7445)  5 O 1.87-2.02
Ti (0.3568, 0.0350, 0.2445)  5 O 1.87-2.02
Ti (0.6432, 0.9650, 0.7445)  5 O 1.87-2.02
Ti (0.8568, 0.4650, 0.2445)  5 O 1.87-2.02
O (0.0256, 0.2713, 0.7142)  1 Ti 1.95, 1 Ta 2.17
O (0.0270, 0.2670, 0.2887)  1 Ta 1.98, 1 Ti 2.20
O (0.1228, 0.6538, 0.5035)  1 Ti 1.95, 1 Ta 1.99
O (0.1443, 0.4533, 0.0000)  1 Ti 1.99, 1 Ta 2.00
O (0.2097, 0.8689, 0.8093)  1 Ta 1.91, 1 Ti 2.02
O (0.2120, 0.8738, 0.1939)  1 Ti 1.87, 1 Ta 2.03
O (0.2880, 0.3738, 0.6939)  1 Ti 1.87, 1 Ta 2.03
O (0.2903, 0.3689, 0.3093)  1 Ta 1.91, 1 Ti 2.02
O (0.3557, 0.9533, 0.5000)  1 Ti 1.99, 1 Ta 2.00
O (0.3772, 0.1538, 0.0035)  1 Ti 1.95, 1 Ta 1.99
O (0.4730, 0.7670, 0.7887)  1 Ta 1.98, 1 Ti 2.20
O (0.4744, 0.7713, 0.2142)  1 Ti 1.95, 1 Ta 2.17
O (0.5256, 0.2287, 0.7142)  1 Ti 1.95, 1 Ta 2.17
O (0.5270, 0.2330, 0.2887)  1 Ta 1.98, 1 Ti 2.20
O (0.6228, 0.8462, 0.5035)  1 Ti 1.95, 1 Ta 1.99
O (0.6443, 0.0467, 0.0000)  1 Ti 1.99, 1 Ta 2.00
O (0.7097, 0.6311, 0.8093)  1 Ta 1.91, 1 Ti 2.02
O (0.7120, 0.6262, 0.1939)  1 Ti 1.87, 1 Ta 2.03
O (0.7880, 0.1262, 0.6939)  1 Ti 1.87, 1 Ta 2.03
O (0.7903, 0.1311, 0.3093)  1 Ta 1.91, 1 Ti 2.02
O (0.8557, 0.5467, 0.5000)  1 Ti 1.99, 1 Ta 2.00
O (0.8772, 0.3462, 0.0035)  1 Ti 1.95, 1 Ta 1.99
O (0.9730, 0.7330, 0.7887)  1 Ta 1.98, 1 Ti 2.20
O (0.9744, 0.7287, 0.2142)  1 Ti 1.95, 1 Ta 2.17

- What is the formula in the second record?
  PrTaTiO6